a) Density functional theory data (PBE with a Hubbard U) for an optimized crystal structure of Mn3CoO8.

symmetry	No. 212

a = 8.2430 Å, b = 8.2430 Å, c = 8.2430 Å
α = 90.00°, β = 90.00°, γ = 90.00°
With the nearest neighbours (Å) after each atom.
Fractional coordinates of all 48 atoms:
Mn1 0.1228 0.3750 0.3728  6 O 1.94-1.95
Mn2 0.1250 0.6272 0.6228  6 O 1.94-1.95
Mn3 0.1272 0.8772 0.8750  6 O 1.94-1.95
Mn4 0.3728 0.1228 0.3750  6 O 1.94-1.95
Mn5 0.3750 0.3728 0.1228  6 O 1.94-1.95
Mn6 0.3772 0.6250 0.8728  6 O 1.94-1.95
Mn7 0.6228 0.1250 0.6272  6 O 1.94-1.95
Mn8 0.6250 0.8728 0.3772  6 O 1.94-1.95
Mn9 0.6272 0.6228 0.1250  6 O 1.94-1.95
Mn10 0.8728 0.3772 0.6250  6 O 1.94-1.95
Mn11 0.8750 0.1272 0.8772  6 O 1.94-1.95
Mn12 0.8772 0.8750 0.1272  6 O 1.94-1.95
Co1 0.1250 0.1250 0.1250  6 O 1.97
Co2 0.3750 0.8750 0.6250  6 O 1.97
Co3 0.6250 0.3750 0.8750  6 O 1.97
Co4 0.8750 0.6250 0.3750  6 O 1.97
O1 0.1074 0.3926 0.6074  3 Mn 1.94
O2 0.1099 0.1124 0.8871  2 Mn 1.94-1.95, 1 Co 1.97
O3 0.1124 0.8871 0.1099  2 Mn 1.94-1.95, 1 Co 1.97
O4 0.1129 0.6099 0.3876  2 Mn 1.94-1.95, 1 Co 1.97
O5 0.1371 0.8624 0.6401  2 Mn 1.94-1.95, 1 Co 1.97
O6 0.1376 0.1401 0.3629  2 Mn 1.94-1.95, 1 Co 1.97
O7 0.1401 0.3629 0.1376  2 Mn 1.94-1.95, 1 Co 1.97
O8 0.1426 0.6426 0.8574  3 Mn 1.94
O9 0.3574 0.3574 0.3574  3 Mn 1.94
O10 0.3599 0.6371 0.6376  2 Mn 1.94-1.95, 1 Co 1.97
O11 0.3624 0.8599 0.8629  2 Mn 1.94-1.95, 1 Co 1.97
O12 0.3629 0.1376 0.1401  2 Mn 1.94-1.95, 1 Co 1.97
O13 0.3871 0.3901 0.8876  2 Mn 1.94-1.95, 1 Co 1.97
O14 0.3876 0.1129 0.6099  2 Mn 1.94-1.95, 1 Co 1.97
O15 0.3901 0.8876 0.3871  2 Mn 1.94-1.95, 1 Co 1.97
O16 0.3926 0.6074 0.1074  3 Mn 1.94
O17 0.6074 0.1074 0.3926  3 Mn 1.94
O18 0.6099 0.3876 0.1129  2 Mn 1.94-1.95, 1 Co 1.97
O19 0.6124 0.6129 0.8901  2 Mn 1.94-1.95, 1 Co 1.97
O20 0.6129 0.8901 0.6124  2 Mn 1.94-1.95, 1 Co 1.97
O21 0.6371 0.6376 0.3599  2 Mn 1.94-1.95, 1 Co 1.97
O22 0.6376 0.3599 0.6371  2 Mn 1.94-1.95, 1 Co 1.97
O23 0.6401 0.1371 0.8624  2 Mn 1.94-1.95, 1 Co 1.97
O24 0.6426 0.8574 0.1426  3 Mn 1.94
O25 0.8574 0.1426 0.6426  3 Mn 1.94
O26 0.8599 0.8629 0.3624  2 Mn 1.94-1.95, 1 Co 1.97
O27 0.8624 0.6401 0.1371  2 Mn 1.94-1.95, 1 Co 1.97
O28 0.8629 0.3624 0.8599  2 Mn 1.94-1.95, 1 Co 1.97
O29 0.8871 0.1099 0.1124  2 Mn 1.94-1.95, 1 Co 1.97
O30 0.8876 0.3871 0.3901  2 Mn 1.94-1.95, 1 Co 1.97
O31 0.8901 0.6124 0.6129  2 Mn 1.94-1.95, 1 Co 1.97
O32 0.8926 0.8926 0.8926  3 Mn 1.94

---

b) Density functional theory data (PBE with a Hubbard U) for an optimized crystal structure of Mn3CoO8.

symmetry	No. 166

a = 5.7816 Å, b = 5.7816 Å, c = 5.7816 Å
α = 60.22°, β = 60.22°, γ = 60.22°
With the nearest neighbours (Å) after each atom.
Fractional coordinates of all 12 atoms:
Mn1 0.0000 0.5000 0.5000  6 O 1.93-1.94
Mn2 0.5000 0.0000 0.5000  6 O 1.93-1.94
Mn3 0.5000 0.5000 0.0000  6 O 1.93-1.94
Co1 0.0000 0.0000 0.0000  6 O 1.90
O1 0.2315 0.2315 0.7390  1 Co 1.90, 2 Mn 1.94
O2 0.2315 0.7390 0.2315  1 Co 1.90, 2 Mn 1.94
O3 0.2610 0.7685 0.7685  1 Co 1.90, 2 Mn 1.94
O4 0.2651 0.2651 0.2651  3 Mn 1.93
O5 0.7349 0.7349 0.7349  3 Mn 1.93
O6 0.7390 0.2315 0.2315  1 Co 1.90, 2 Mn 1.94
O7 0.7685 0.2610 0.7685  1 Co 1.90, 2 Mn 1.94
O8 0.7685 0.7685 0.2610  1 Co 1.90, 2 Mn 1.94

---

Stability comparison, relative energies in meV per atom: a) 86; b) 0

---

a) Density functional theory data (PBE with a Hubbard U) for an optimized crystal structure of MgMn8O13F3.

symmetry	No. 1

a = 5.6645 Å, b = 6.8178 Å, c = 6.9413 Å
α = 94.77°, β = 91.79°, γ = 91.00°
With the nearest neighbours (Å) after each atom.
Fractional coordinates of all 25 atoms:
Mg1 0.0000 0.0000 0.0000  6 O 1.97-2.11
Mn1 0.0178 0.2718 0.2893  5 O 1.88-2.08
Mn2 0.0360 0.7180 0.7254  4 O 1.93-2.13, 1 F 2.06
Mn3 0.2116 0.7412 0.2621  4 O 1.92-2.08, 1 F 2.11
Mn4 0.2728 0.2279 0.7373  5 O 1.90-1.99, 1 F 2.00
Mn5 0.5204 0.9785 0.9890  5 O 1.93-2.12, 1 F 2.14
Mn6 0.5345 0.4963 0.5159  5 O 1.91-2.01, 1 F 2.00
Mn7 0.7365 0.4853 0.0001  4 O 1.97-2.01, 1 F 2.15
Mn8 0.7489 0.0019 0.5125  5 O 1.95-2.06, 1 F 2.04
O1 0.0178 0.0227 0.7048  3 Mn 1.99-2.10, 1 Mg 2.07
O2 0.2494 0.7903 0.9808  3 Mn 1.98-2.13, 1 Mg 2.03
O3 0.2673 0.6869 0.5269  3 Mn 1.92-2.01
O4 0.2854 0.1796 0.0084  2 Mn 1.93-1.94, 1 Mg 2.01
O5 0.2863 0.2914 0.4737  3 Mn 1.92-1.96
O6 0.5068 0.4412 0.7798  3 Mn 1.91-1.98
O7 0.5127 0.0372 0.7115  3 Mn 1.90-2.00
O8 0.7648 0.2815 0.4695  3 Mn 1.93-1.99
O9 0.7717 0.2089 0.0629  1 Mg 1.97, 3 Mn 1.98-2.12
O10 0.7731 0.7102 0.5422  3 Mn 1.93-2.02
O11 0.7727 0.7682 0.9410  3 Mn 2.01-2.16, 1 Mg 2.03
O12 0.9929 0.5237 0.1993  3 Mn 1.88-1.97
O13 0.9992 0.9864 0.3033  3 Mn 1.96-2.08, 1 Mg 2.11
F1 0.0267 0.4295 0.7923  3 Mn 2.00-2.24
F2 0.5003 0.5383 0.2342  3 Mn 2.00-2.16
F3 0.5067 0.9365 0.2910  3 Mn 2.04-2.14

---

b) Density functional theory data (PBE with a Hubbard U) for an optimized crystal structure of MgMn8O13F3.

symmetry	No. 1

a = 5.6785 Å, b = 6.9117 Å, c = 6.9117 Å
α = 94.03°, β = 91.03°, γ = 92.36°
With the nearest neighbours (Å) after each atom.
Fractional coordinates of all 25 atoms:
Mg1 0.0000 0.0000 0.0000  1 F 1.93, 5 O 1.99-2.09
Mn1 0.0435 0.2756 0.2630  5 O 1.92-2.04, 1 F 1.96
Mn2 0.0806 0.7307 0.7277  4 O 1.92-2.05, 1 F 2.03
Mn3 0.2678 0.7676 0.2638  5 O 1.94-2.16, 1 F 2.10
Mn4 0.2776 0.2443 0.7346  4 O 1.93-2.01, 1 F 1.97
Mn5 0.5153 0.0283 0.0203  5 O 1.92-2.02, 1 F 2.06
Mn6 0.6059 0.5034 0.4951  4 O 1.93-2.01, 2 F 2.14-2.15
Mn7 0.7648 0.0041 0.4941  5 O 1.98-2.05, 1 F 2.17
Mn8 0.7650 0.5088 0.9946  5 O 1.95-2.11
O1 0.0240 0.2114 0.5321  3 Mn 1.95-2.01
O2 0.0245 0.8079 0.4706  3 Mn 1.92-2.05
O3 0.0256 0.2999 0.9798  2 Mn 1.98-2.11, 1 Mg 2.09
O4 0.0266 0.7134 0.0183  3 Mn 2.00-2.16, 1 Mg 2.01
O5 0.2633 0.0538 0.2021  3 Mn 1.93-2.05, 1 Mg 2.03
O6 0.2648 0.9804 0.8092  3 Mn 1.93-2.02, 1 Mg 2.02
O7 0.5043 0.7574 0.0651  2 Mn 1.92-1.94
O8 0.5113 0.2920 0.9486  3 Mn 1.92-2.04
O9 0.5333 0.7807 0.4600  3 Mn 1.98-2.01
O10 0.5412 0.2270 0.5443  3 Mn 1.98-2.05
O11 0.7814 0.0741 0.2116  1 Mg 1.99, 3 Mn 1.99-2.05
O12 0.8071 0.4670 0.2718  3 Mn 1.92-1.97
O13 0.8070 0.5565 0.7221  3 Mn 1.92-1.95
F1 0.3007 0.4725 0.3060  3 Mn 1.96-2.15
F2 0.3217 0.5227 0.6933  3 Mn 1.97-2.14
F3 0.7519 0.9685 0.8035  1 Mg 1.93, 1 Mn 2.06

---

Stability comparison, relative energies in meV per atom: a) 0; b) 24